[1]
Material: Mn3Sb2
Method: DFT, GGA-PBE
State: optimized geometry

a = 4.3206 Å, b = 4.3206 Å, c = 5.3649 Å
α = 90.00°, β = 90.00°, γ = 120.00°
Space group P-6m2 (No. 187)
Asymmetric unit:
Mn1 0.0000 0.0000 0.0000
Mn2 0.6667 0.3333 0.2473
Sb1 0.0000 0.0000 0.5000
Sb2 0.3333 0.6667 0.0000

Energy of formation, meV/atom: 18

=====

[2]
Material: Mn5Sb4
Method: DFT, GGA-PBE
State: optimized geometry

a = 4.2757 Å, b = 4.2757 Å, c = 10.9575 Å
α = 90.00°, β = 90.00°, γ = 120.00°
Space group P-6m2 (No. 187)
Asymmetric unit:
Mn1 0.0000 0.0000 0.0000
Mn2 0.3333 0.6667 0.1251
Mn3 0.3333 0.6667 0.3764
Sb1 0.0000 0.0000 0.2522
Sb2 0.6667 0.3333 0.0000
Sb3 0.6667 0.3333 0.5000

Energy of formation, meV/atom: -47

=====

[3]
Material: Mn14Sb13
Method: DFT, GGA-PBE
State: optimized geometry

a = 16.6400 Å, b = 7.1217 Å, c = 18.6064 Å
α = 90.00°, β = 105.77°, γ = 90.00°
Space group C2/c (No. 15)
Asymmetric unit:
Mn1 0.0000 0.0000 0.0000
Mn2 0.0000 0.1656 0.2500
Mn3 0.0369 0.4954 0.1923
Mn4 0.0778 0.0027 0.8841
Mn5 0.1154 0.4974 0.0778
Mn6 0.1538 0.0003 0.2713
Mn7 0.1927 0.4974 0.9635
Mn8 0.2280 0.0018 0.1545
Sb1 0.0000 0.1880 0.7500
Sb2 0.0378 0.3340 0.9415
Sb3 0.0744 0.1635 0.1371
Sb4 0.1233 0.3412 0.3322
Sb5 0.1541 0.1670 0.5188
Sb6 0.1917 0.3343 0.7120
Sb7 0.2305 0.1672 0.9040

Energy of formation, meV/atom: -107

=====

[4]
Material: Sr14MnSb11
Method: DFT, GGA-PBE
State: optimized geometry

a = 17.6599 Å, b = 17.6599 Å, c = 23.3293 Å
α = 90.00°, β = 90.00°, γ = 90.00°
Space group I4_1/acd (No. 142, origin choice 2)
Asymmetric unit:
Sr1 0.0216 0.1246 0.0023
Sr2 0.0439 0.0728 0.6723
Sr3 0.1441 0.0000 0.2500
Sr4 0.1561 0.0691 0.4067
Mn1 0.0000 0.2500 0.3750
Sb1 0.0000 0.2500 0.1250
Sb2 0.0032 0.1150 0.3133
Sb3 0.1308 0.0249 0.5470
Sb4 0.1327 0.1173 0.1250

Energy of formation, meV/atom: -1073

=====

[5]
Material: SrMn2Sb2
Method: DFT, GGA-PBE
State: optimized geometry

a = 4.5545 Å, b = 4.5545 Å, c = 7.8955 Å
α = 90.00°, β = 90.00°, γ = 120.00°
Space group P-3m1 (No. 164)
Asymmetric unit:
Sr1 0.0000 0.0000 0.0000
Mn1 0.3333 0.6667 0.6202
Sb1 0.3333 0.6667 0.2682

Energy of formation, meV/atom: -277

=====

[6]
Material: Ti5MnSb2
Method: DFT, GGA-PBE
State: optimized geometry

a = 10.4963 Å, b = 10.4963 Å, c = 5.1440 Å
α = 90.00°, β = 90.00°, γ = 90.00°
Space group I4/mcm (No. 140)
Asymmetric unit:
Ti1 0.0000 0.5000 0.2500
Ti2 0.0698 0.2008 0.0000
Mn1 0.0000 0.0000 0.2500
Sb1 0.1639 0.3361 0.5000

Energy of formation, meV/atom: -463

=====

[7]
Material: U3MnSb5
Method: DFT, GGA-PBE
State: optimized geometry

a = 8.9725 Å, b = 8.9725 Å, c = 6.1041 Å
α = 90.00°, β = 90.00°, γ = 120.00°
Space group P6_3/mcm (No. 193)
Asymmetric unit:
U1 0.0000 0.3915 0.2500
Mn1 0.0000 0.0000 0.0000
Sb1 0.0000 0.2471 0.7500
Sb2 0.3333 0.6667 0.0000

Energy of formation, meV/atom: -290

=====

[8]
Material: MnVSb
Method: DFT, GGA-PBE
State: optimized geometry

a = 4.4692 Å, b = 4.4692 Å, c = 5.4099 Å
α = 90.00°, β = 90.00°, γ = 120.00°
Space group P6_3/mmc (No. 194)
Asymmetric unit:
Mn1 0.3333 0.6667 0.2500
V1 0.0000 0.0000 0.0000
Sb1 0.3333 0.6667 0.7500

Energy of formation, meV/atom: 46

=====

[9]
Material: ScMn2
Method: DFT, GGA-PBE
State: optimized geometry

a = 4.8955 Å, b = 4.8955 Å, c = 8.0478 Å
α = 90.00°, β = 90.00°, γ = 120.00°
Space group P6_3/mmc (No. 194)
Asymmetric unit:
Sc1 0.3333 0.6667 0.0631
Mn1 0.0000 0.0000 0.0000
Mn2 0.1710 0.3420 0.7500

Energy of formation, meV/atom: -143

=====

[10]
Material: Sc2MnSe4
Method: DFT, GGA-PBE
State: optimized geometry

a = 11.1507 Å, b = 11.1507 Å, c = 11.1507 Å
α = 90.00°, β = 90.00°, γ = 90.00°
Space group Fd-3m (No. 227, origin choice 2)
Asymmetric unit:
Sc1 0.0000 0.0000 0.0000
Mn1 0.1250 0.1250 0.6250
Se1 0.0059 0.0059 0.2441

Energy of formation, meV/atom: -1613

=====

[11]
Material: Sc4Mn4Si7
Method: DFT, GGA-PBE
State: optimized geometry

a = 13.1353 Å, b = 13.1353 Å, c = 5.0837 Å
α = 90.00°, β = 90.00°, γ = 90.00°
Space group I4/mmm (No. 139)
Asymmetric unit:
Sc1 0.0000 0.1986 0.0000
Sc2 0.1396 0.1396 0.5000
Mn1 0.1476 0.3524 0.2500
Si1 0.0000 0.0000 0.2501
Si2 0.0000 0.2976 0.5000
Si3 0.0000 0.4098 0.0000
Si4 0.2100 0.2100 0.0000

Energy of formation, meV/atom: -626

=====

[12]
Material: ScMnSi2
Method: DFT, GGA-PBE
State: optimized geometry

a = 9.0218 Å, b = 9.7406 Å, c = 7.8720 Å
α = 90.00°, β = 90.00°, γ = 90.00°
Space group Pbam (No. 55)
Asymmetric unit:
Sc1 0.1673 0.1763 0.0000
Sc2 0.1720 0.4523 0.2473
Mn1 0.0000 0.0000 0.2452
Mn2 0.0808 0.7460 0.2483
Si1 0.0381 0.6217 0.0000
Si2 0.0428 0.6279 0.5000
Si3 0.1104 0.8935 0.5000
Si4 0.1267 0.8903 0.0000
Si5 0.1676 0.1818 0.3476

Energy of formation, meV/atom: -618

=====

[13]
Material: Sc4MnSi7
Method: DFT, GGA-PBE
State: optimized geometry

a = 3.6729 Å, b = 3.8411 Å, c = 14.0610 Å
α = 90.00°, β = 90.00°, γ = 90.00°
Space group Pmm2 (No. 25)
Asymmetric unit:
Sc1 0.0000 0.0000 0.0000
Sc2 0.0000 0.5000 0.4831
Sc3 0.5000 0.0000 0.7871
Sc4 0.5000 0.5000 0.3011
Mn1 0.0000 0.0000 0.2898
Si1 0.0000 0.0000 0.6296
Si2 0.0000 0.5000 0.1554
Si3 0.0000 0.5000 0.8305
Si4 0.5000 0.0000 0.1555
Si5 0.5000 0.0000 0.4291
Si6 0.5000 0.5000 0.6400
Si7 0.5000 0.5000 0.9411

Energy of formation, meV/atom: -401